Record 1
SiO2 | the Materials Project database | PBE-GGA | optimized geometry; DFT total energy = -0.5811 Ry per atom; calculated formation energy = -943 kJ/mol of formula units; piezoelectric modulus e_max = 0.051 C/m2
1.0
13.2197 0.0000 0.0000
0.0000 13.2197 0.0000
0.0000 0.0000 5.0879
Si O
17 34
Direct
0.0000 0.0000 0.0000
0.0494 0.2153 0.2314
0.1163 0.5173 0.7741
0.1492 0.6502 0.2556
0.1687 0.2882 0.7339
0.2153 0.9506 0.7686
0.2882 0.8313 0.2661
0.3498 0.1492 0.7444
0.4827 0.1163 0.2259
0.5173 0.8837 0.2259
0.6502 0.8508 0.7444
0.7118 0.1687 0.2661
0.7847 0.0494 0.7686
0.8313 0.7118 0.7339
0.8508 0.3498 0.2556
0.8837 0.4827 0.7741
0.9506 0.7847 0.2314
0.0000 0.5000 0.8701
0.0315 0.0946 0.1884
0.0566 0.7259 0.1780
0.0892 0.2354 0.5298
0.0946 0.9685 0.8116
0.1163 0.5864 0.5125
0.1353 0.2576 0.0311
0.1702 0.4105 0.7040
0.1753 0.5741 0.0128
0.2354 0.9108 0.4702
0.2497 0.7165 0.3210
0.2576 0.8647 0.9689
0.2741 0.0566 0.8220
0.2835 0.2497 0.6790
0.4105 0.8298 0.2960
0.4136 0.1163 0.4875
0.4259 0.1753 0.9872
0.5000 0.0000 0.1299
0.5741 0.8247 0.9872
0.5864 0.8837 0.4875
0.5895 0.1702 0.2960
0.7165 0.7503 0.6790
0.7259 0.9434 0.8220
0.7424 0.1353 0.9689
0.7503 0.2835 0.3210
0.7646 0.0892 0.4702
0.8247 0.4259 0.0128
0.8298 0.5895 0.7040
0.8647 0.7424 0.0311
0.8837 0.4136 0.5125
0.9054 0.0315 0.8116
0.9108 0.7646 0.5298
0.9434 0.2741 0.1780
0.9685 0.9054 0.1884

Record 2
Gd3Y3Fe23 | the Materials Project database | PBE-GGA | optimized geometry; DFT total energy = -0.6526 Ry per atom; calculated formation energy = -102 kJ/mol of formula units; magnetization = 29.080 μB per cell
1.0
4.2527 2.4553 6.9695
-4.2527 2.4553 6.9695
0.0000 -4.9106 6.9695
Gd Y Fe
3 3 23
Direct
0.0519 0.4740 0.4740
0.4740 0.0519 0.4740
0.4740 0.4740 0.0519
0.0515 0.0515 0.4744
0.0515 0.4744 0.0515
0.4744 0.0515 0.0515
0.0875 0.0875 0.0875
0.0870 0.0870 0.7911
0.0870 0.7911 0.0870
0.1283 0.6412 0.6412
0.2623 0.7629 0.7629
0.2630 0.2630 0.7642
0.2630 0.7642 0.2630
0.3977 0.8849 0.8849
0.4393 0.4393 0.4393
0.4388 0.4388 0.7354
0.4388 0.7354 0.4388
0.6412 0.1283 0.6412
0.6412 0.6412 0.1283
0.6411 0.6411 0.6411
0.7354 0.4388 0.4388
0.7629 0.2623 0.7629
0.7629 0.7629 0.2623
0.7633 0.7633 0.7633
0.7642 0.2630 0.2630
0.7911 0.0870 0.0870
0.8849 0.3977 0.8849
0.8849 0.8849 0.3977
0.8849 0.8849 0.8849

Record 3
Np2O5 | the Materials Project database | PBE-GGA | optimized geometry; DFT total energy = -0.7491 Ry per atom; calculated formation energy = -2329 kJ/mol of formula units
1.0
4.6355 -3.3371 0.0000
4.6355 3.3371 0.0000
-3.4687 0.0000 7.2471
Np O
4 10
Direct
0.0000 0.0000 0.0000
0.0000 0.0000 0.5000
0.4633 0.5367 0.7500
0.5367 0.4633 0.2500
0.1044 0.8956 0.7500
0.2395 0.3015 0.6380
0.2898 0.6922 0.0375
0.3015 0.2395 0.1380
0.3078 0.7102 0.4625
0.6922 0.2898 0.5375
0.6985 0.7605 0.8620
0.7102 0.3078 0.9625
0.7605 0.6985 0.3620
0.8956 0.1044 0.2500

Record 4
Cu2PHO5 | the Materials Project database | PBE-GGA | optimized geometry; DFT total energy = -0.4346 Ry per atom; calculated formation energy = -1439 kJ/mol of formula units; magnetization = 8.001 μB per cell
1.0
5.9458 0.0000 0.0000
0.0000 8.5189 0.0000
-5.9265 0.0000 8.1217
Cu P H O
8 4 4 20
Direct
0.1265 0.1260 0.1385
0.1265 0.3740 0.6385
0.2488 0.0029 0.5002
0.2488 0.4971 0.0002
0.7512 0.5029 0.9998
0.7512 0.9971 0.4998
0.8735 0.6260 0.3615
0.8735 0.8740 0.8615
0.2370 0.7485 0.2315
0.2370 0.7515 0.7315
0.7630 0.2485 0.2685
0.7630 0.2515 0.7685
0.4309 0.2067 0.4201
0.4309 0.2933 0.9201
0.5691 0.7067 0.0799
0.5691 0.7933 0.5799
0.1157 0.7325 0.8307
0.1157 0.7675 0.3307
0.1302 0.6164 0.6019
0.1302 0.8836 0.1019
0.1339 0.5891 0.1331
0.1339 0.9109 0.6331
0.3784 0.0996 0.3746
0.3784 0.4004 0.8746
0.4429 0.2475 0.6505
0.4429 0.2525 0.1505
0.5571 0.7475 0.8495
0.5571 0.7525 0.3495
0.6216 0.5996 0.1254
0.6216 0.9004 0.6254
0.8661 0.0891 0.3669
0.8661 0.4109 0.8669
0.8698 0.1164 0.8981
0.8698 0.3836 0.3981
0.8843 0.2325 0.6693
0.8843 0.2675 0.1693

Record 5
Na3NpO10 | the Materials Project database | PBE-GGA | optimized geometry; DFT total energy = -0.4429 Ry per atom; calculated formation energy = -1734 kJ/mol of formula units; magnetization = 0.000 μB per cell
1.0
5.2406 0.0000 0.0000
-0.5096 5.7181 0.0000
-2.4878 -1.9857 7.1473
Na Np O
3 1 10
Direct
0.0000 0.0000 0.0000
0.1192 0.7002 0.3677
0.8808 0.2998 0.6323
0.5000 0.5000 0.0000
0.2106 0.6739 0.9463
0.2494 0.2114 0.8527
0.2640 0.2076 0.4355
0.4033 0.2272 0.3208
0.4112 0.4545 0.2815
0.5888 0.5455 0.7185
0.5967 0.7728 0.6792
0.7360 0.7924 0.5645
0.7506 0.7886 0.1473
0.7894 0.3261 0.0537

Record 6
Tb2InNi2 | the Materials Project database | PBE-GGA | optimized geometry; DFT total energy = -0.3838 Ry per atom; calculated formation energy = -244 kJ/mol of formula units; magnetization = 0.000 μB per cell
1.0
7.4322 0.0000 0.0000
0.0000 7.4322 0.0000
0.0000 0.0000 3.6503
Tb In Ni
4 2 4
Direct
0.1754 0.3246 0.0000
0.3246 0.8246 0.0000
0.6754 0.1754 0.0000
0.8246 0.6754 0.0000
0.0000 0.0000 0.5000
0.5000 0.5000 0.5000
0.1174 0.6174 0.5000
0.3826 0.1174 0.5000
0.6174 0.8826 0.5000
0.8826 0.3826 0.5000

Record 7
AsSe3Cl3F6 | the Materials Project database | PBE-GGA | optimized geometry; DFT total energy = -0.2740 Ry per atom; calculated formation energy = -1838 kJ/mol of formula units; magnetization = 0.002 μB per cell
1.0
12.6277 0.0000 0.0000
0.0000 8.1171 0.0000
-3.0754 0.0000 12.0184
As Se Cl F
4 12 12 24
Direct
0.2310 0.2090 0.4994
0.2310 0.2910 0.9994
0.7690 0.7090 0.0006
0.7690 0.7910 0.5006
0.1459 0.5859 0.2284
0.1459 0.9141 0.7284
0.3367 0.6513 0.3663
0.3367 0.8487 0.8663
0.3930 0.6286 0.7906
0.3930 0.8714 0.2906
0.6070 0.1286 0.7094
0.6070 0.3714 0.2094
0.6633 0.1513 0.1337
0.6633 0.3487 0.6337
0.8541 0.0859 0.2716
0.8541 0.4141 0.7716
0.0349 0.6722 0.3235
0.0349 0.8278 0.8235
0.1454 0.7084 0.6216
0.1454 0.7916 0.1216
0.4819 0.7219 0.6696
0.4819 0.7781 0.1696
0.5181 0.2219 0.8304
0.5181 0.2781 0.3304
0.8546 0.2084 0.8784
0.8546 0.2916 0.3784
0.9651 0.1722 0.1765
0.9651 0.3278 0.6765
0.1106 0.0906 0.4539
0.1106 0.4094 0.9539
0.1648 0.1674 0.0804
0.1648 0.3326 0.5804
0.1849 0.1535 0.8834
0.1849 0.3465 0.3834
0.2769 0.0714 0.6144
0.2769 0.4286 0.1144
0.2972 0.0867 0.4174
0.2972 0.4133 0.9174
0.3511 0.1716 0.0441
0.3511 0.3284 0.5441
0.6489 0.6716 0.4559
0.6489 0.8284 0.9559
0.7028 0.5867 0.0826
0.7028 0.9133 0.5826
0.7231 0.5714 0.8856
0.7231 0.9286 0.3856
0.8151 0.6535 0.6166
0.8151 0.8465 0.1166
0.8352 0.6674 0.4196
0.8352 0.8326 0.9196
0.8894 0.5906 0.0461
0.8894 0.9094 0.5461

Record 8
SmSn3 | the Materials Project database | PBE-GGA | optimized geometry; DFT total energy = -0.3416 Ry per atom; calculated formation energy = -178 kJ/mol of formula units
1.0
4.7574 0.0000 0.0000
0.0000 4.7574 0.0000
0.0000 0.0000 4.7574
Sm Sn
1 3
Direct
0.0000 0.0000 0.0000
0.0000 0.5000 0.5000
0.5000 0.0000 0.5000
0.5000 0.5000 0.0000

Record 9
Ag5Pb2O6 | the Materials Project database | PBE-GGA | optimized geometry; DFT total energy = -0.3259 Ry per atom; calculated formation energy = -1011 kJ/mol of formula units
1.0
6.0713 0.0000 0.0000
-3.0356 5.2579 0.0000
0.0000 0.0000 6.5279
Ag Pb O
5 2 6
Direct
0.0000 0.0000 0.2370
0.0000 0.0000 0.7630
0.0000 0.5000 0.0000
0.5000 0.0000 0.0000
0.5000 0.5000 0.0000
0.3333 0.6667 0.5000
0.6667 0.3333 0.5000
0.0000 0.3773 0.3081
0.0000 0.6227 0.6919
0.3773 0.0000 0.3081
0.3773 0.3773 0.6919
0.6227 0.0000 0.6919
0.6227 0.6227 0.3081

Record 10
Cr2S2BrCl | the Materials Project database | PBE-GGA | optimized geometry; DFT total energy = -0.4418 Ry per atom; calculated formation energy = -639 kJ/mol of formula units; magnetization = 5.999 μB per cell
1.0
3.5036 0.0000 0.0000
0.0000 4.7504 0.0000
0.0000 0.0000 8.1727
Cr S Br Cl
2 2 1 1
Direct
0.0000 0.0000 0.0000
0.5000 0.5000 0.2566
0.0000 0.5000 0.0584
0.5000 0.0000 0.1992
0.0000 0.5000 0.4769
0.5000 0.0000 0.8015

Record 11
Ta2CuO6 | the Materials Project database | PBE-GGA | optimized geometry; DFT total energy = -0.6400 Ry per atom; energy above the most stable polymorph in this dataset = 0.0000 eV per atom; calculated formation energy = -2411 kJ/mol of formula units; magnetization = 8.000 μB per cell
1.0
7.5734 0.0000 0.0000
0.0000 7.6051 0.0000
0.0000 0.0000 15.1942
Ta Cu O
16 8 48
Direct
0.2445 0.2488 0.1237
0.2445 0.2488 0.8763
0.2445 0.7512 0.1237
0.2445 0.7512 0.8763
0.2489 0.2558 0.3745
0.2489 0.2558 0.6255
0.2489 0.7442 0.3745
0.2489 0.7442 0.6255
0.7511 0.2558 0.3745
0.7511 0.2558 0.6255
0.7511 0.7442 0.3745
0.7511 0.7442 0.6255
0.7555 0.2488 0.1237
0.7555 0.2488 0.8763
0.7555 0.7512 0.1237
0.7555 0.7512 0.8763
0.0000 0.0000 0.2520
0.0000 0.0000 0.5000
0.0000 0.0000 0.7480
0.5000 0.0000 0.0000
0.5000 0.0000 0.5000
0.5000 0.5000 0.0000
0.5000 0.5000 0.2488
0.5000 0.5000 0.7512
0.0000 0.2968 0.3524
0.0000 0.2968 0.6476
0.0000 0.3070 0.1470
0.0000 0.3070 0.8530
0.0000 0.6930 0.1470
0.0000 0.6930 0.8530
0.0000 0.7032 0.3524
0.0000 0.7032 0.6476
0.1865 0.1851 0.5000
0.1865 0.8149 0.5000
0.1909 0.0000 0.1599
0.1909 0.0000 0.8401
0.1950 0.0000 0.3387
0.1950 0.0000 0.6613
0.2005 0.2049 0.0000
0.2005 0.7951 0.0000
0.2938 0.5000 0.4031
0.2938 0.5000 0.5969
0.3153 0.5000 0.0932
0.3153 0.5000 0.9068
0.3193 0.3102 0.2494
0.3193 0.3102 0.7506
0.3193 0.6898 0.2494
0.3193 0.6898 0.7506
0.5000 0.1780 0.0963
0.5000 0.1780 0.9037
0.5000 0.1814 0.4060
0.5000 0.1814 0.5940
0.5000 0.8186 0.4060
0.5000 0.8186 0.5940
0.5000 0.8220 0.0963
0.5000 0.8220 0.9037
0.6807 0.3102 0.2494
0.6807 0.3102 0.7506
0.6807 0.6898 0.2494
0.6807 0.6898 0.7506
0.6847 0.5000 0.0932
0.6847 0.5000 0.9068
0.7062 0.5000 0.4031
0.7062 0.5000 0.5969
0.7995 0.2049 0.0000
0.7995 0.7951 0.0000
0.8050 0.0000 0.3387
0.8050 0.0000 0.6613
0.8091 0.0000 0.1599
0.8091 0.0000 0.8401
0.8135 0.1851 0.5000
0.8135 0.8149 0.5000

Record 12
K2Sn | the Materials Project database | PBE-GGA | optimized geometry; DFT total energy = -0.1471 Ry per atom; calculated formation energy = 22 kJ/mol of formula units; magnetization = 1.996 μB per cell
1.0
0.0000 4.3230 4.3230
4.3230 0.0000 4.3230
4.3230 4.3230 0.0000
K Sn
2 1
Direct
0.2500 0.2500 0.2500
0.7500 0.7500 0.7500
0.0000 0.0000 0.0000